A plane-wave DFT calculation with PBE with a Hubbard U was carried out for an optimized crystal structure of V3O4F2.

Results
Space group   C2, No. 5
M_tot   10.00 Bohr magnetons per cell
E   -7.378 eV/atom
Energy relative to the elements   -2700 meV/atom

Cell: 4.7169 4.7169 9.0239 Å, 89.24 89.24 90.11°
Last column: nearest neighbours and their distance in Å.
Fractional positions:
V 0.0408 0.0152 0.8465  4 O 1.90-1.99
V 0.9848 0.9592 0.1535  4 O 1.90-1.99
V 0.0107 0.9893 0.5000  4 O 1.97-1.98, 2 F 2.09
V 0.5091 0.4909 0.0000  4 O 1.98-2.00, 2 F 2.05
V 0.4654 0.5156 0.6542  4 O 1.89-1.97
V 0.4844 0.5346 0.3458  4 O 1.89-1.97
O 0.2132 0.7868 0.0000  3 V 1.93-1.98
O 0.1909 0.8053 0.3280  3 V 1.89-1.99
O 0.1947 0.8091 0.6720  3 V 1.89-1.99
O 0.6929 0.6832 0.1704  3 V 1.90-2.00
O 0.6982 0.7093 0.5028  3 V 1.94-1.98
O 0.3168 0.3071 0.8296  3 V 1.90-2.00
O 0.2907 0.3018 0.4972  3 V 1.94-1.98
O 0.8085 0.1915 0.0000  3 V 1.95-2.00
F 0.7071 0.7055 0.8289  3 V 2.05-2.16
F 0.2945 0.2929 0.1711  3 V 2.05-2.16
F 0.8042 0.2068 0.6702  3 V 2.09-2.17
F 0.7932 0.1958 0.3298  3 V 2.09-2.17

=====

A plane-wave DFT calculation with PBE with a Hubbard U was carried out for an optimized crystal structure of V2OF5.

Results
Space group   P1, No. 1
M_tot   12.00 Bohr magnetons per cell
E   -6.277 eV/atom
Energy relative to the elements   -2990 meV/atom

Cell: 4.7066 5.0640 17.3671 Å, 90.77 90.29 90.11°
Last column: nearest neighbours and their distance in Å.
Fractional positions:
V 0.0028 0.2558 0.9518  6 F 1.94-2.03
V 0.0208 0.7587 0.7165  1 O 1.70
V 0.0272 0.7673 0.0562  1 O 1.69
V 0.4777 0.7680 0.5574  1 O 1.69
V 0.4950 0.2379 0.7878  5 F 1.96-2.04, 1 O 1.98
V 0.5003 0.2534 0.4512  6 F 1.94-2.03
V 0.4998 0.7510 0.2125  2 O 1.98-2.01, 4 F 1.98-2.02
V 0.9765 0.2817 0.2887  1 O 1.70
O 0.2458 0.8658 0.6263  1 V 1.69
O 0.2360 0.9303 0.7781  1 V 1.70
O 0.2549 0.8648 0.1264  1 V 1.69
O 0.7594 0.5478 0.2819  1 V 1.70
F 0.2209 0.9281 0.9667  2 V 1.97-1.99
F 0.2454 0.9508 0.2830  2 V 1.98-2.10
F 0.2518 0.4328 0.7146  2 V 1.98
F 0.2403 0.3928 0.3703  2 V 1.96-2.00
F 0.2227 0.4272 0.0367  2 V 1.98-1.99
F 0.2570 0.3951 0.8724  2 V 1.97-2.01
F 0.2815 0.4283 0.5358  2 V 1.98-2.00
F 0.2520 0.4247 0.2146  2 V 1.97-2.02
F 0.2825 0.9277 0.4671  2 V 1.96-2.00
F 0.7084 0.5784 0.4715  2 V 1.94-2.08
F 0.7179 0.0678 0.5358  2 V 1.93-2.03
F 0.7522 0.5608 0.7816  2 V 1.98-2.04
F 0.7417 0.1127 0.8705  2 V 1.96-1.99
F 0.7595 0.0663 0.2136  2 V 1.97-2.01
F 0.7455 0.6147 0.1262  2 V 1.97-2.01
F 0.7599 0.6220 0.6294  2 V 1.97-2.06
F 0.7520 0.0602 0.7119  2 V 1.99-2.00
F 0.7585 0.1098 0.3713  2 V 1.98
F 0.7951 0.5805 0.9697  2 V 1.94-2.07
F 0.7859 0.0678 0.0358  2 V 1.94-2.03